UAs2H6O11 | the Materials Project database | PBE | relaxed; crystal system = monoclinic
1.0
4.556 6.680 0.000
-4.556 6.680 0.000
0.000 5.122 7.527
U As H O
2 4 12 22
direct
0.658 0.342 0.750
0.342 0.658 0.250
0.811 0.812 0.442
0.812 0.811 0.942
0.188 0.189 0.058
0.189 0.188 0.558
0.342 0.685 0.825
0.001 0.791 0.082
0.315 0.658 0.675
0.640 0.839 0.282
0.161 0.360 0.218
0.209 0.999 0.418
0.791 0.001 0.582
0.839 0.640 0.782
0.360 0.161 0.718
0.685 0.342 0.325
0.999 0.209 0.918
0.658 0.315 0.175
0.259 0.986 0.213
0.762 0.638 0.649
0.389 0.701 0.022
0.014 0.741 0.287
0.626 0.901 0.363
0.010 0.833 0.957
0.390 0.610 0.750
0.167 0.990 0.543
0.701 0.389 0.522
0.099 0.374 0.137
0.638 0.762 0.149
0.362 0.238 0.851
0.901 0.626 0.863
0.299 0.611 0.478
0.833 0.010 0.457
0.610 0.390 0.250
0.990 0.167 0.043
0.374 0.099 0.637
0.986 0.259 0.713
0.611 0.299 0.978
0.238 0.362 0.351
0.741 0.014 0.787

***

Zn3As2H7O12 | the Materials Project database | PBE | relaxed; crystal system = orthorhombic
1.0
0.000 0.000 5.140
11.009 0.000 0.000
0.000 19.527 0.000
Zn As H O
12 8 28 48
direct
0.931 0.741 0.250
0.569 0.241 0.250
0.069 0.259 0.750
0.431 0.759 0.750
0.290 0.645 0.998
0.210 0.145 0.502
0.710 0.355 0.498
0.790 0.855 0.002
0.710 0.355 0.002
0.790 0.855 0.498
0.290 0.645 0.502
0.210 0.145 0.998
0.777 0.600 0.096
0.723 0.100 0.404
0.223 0.400 0.596
0.277 0.900 0.904
0.223 0.400 0.904
0.277 0.900 0.596
0.777 0.600 0.404
0.723 0.100 0.096
0.348 0.616 0.289
0.152 0.116 0.211
0.652 0.384 0.789
0.848 0.884 0.711
0.652 0.384 0.711
0.848 0.884 0.789
0.348 0.616 0.211
0.152 0.116 0.289
0.714 0.960 0.250
0.786 0.460 0.250
0.286 0.040 0.750
0.214 0.540 0.750
0.054 0.889 0.139
0.446 0.389 0.361
0.946 0.111 0.639
0.554 0.611 0.861
0.946 0.111 0.861
0.554 0.611 0.639
0.054 0.889 0.361
0.446 0.389 0.139
0.238 0.775 0.141
0.262 0.275 0.359
0.762 0.225 0.641
0.738 0.725 0.859
0.762 0.225 0.859
0.738 0.725 0.641
0.238 0.775 0.359
0.262 0.275 0.141
0.696 0.639 0.178
0.804 0.139 0.322
0.304 0.361 0.678
0.196 0.861 0.822
0.304 0.361 0.822
0.196 0.861 0.678
0.696 0.639 0.322
0.804 0.139 0.178
0.106 0.606 0.082
0.394 0.106 0.418
0.894 0.394 0.582
0.606 0.894 0.918
0.894 0.394 0.918
0.606 0.894 0.582
0.106 0.606 0.418
0.394 0.106 0.082
0.859 0.960 0.080
0.641 0.460 0.420
0.141 0.040 0.580
0.359 0.540 0.920
0.141 0.040 0.920
0.359 0.540 0.580
0.859 0.960 0.420
0.641 0.460 0.080
0.635 0.699 0.036
0.865 0.199 0.464
0.365 0.301 0.536
0.135 0.801 0.964
0.365 0.301 0.964
0.135 0.801 0.536
0.635 0.699 0.464
0.865 0.199 0.036
0.226 0.611 0.250
0.274 0.111 0.250
0.774 0.389 0.750
0.726 0.889 0.750
0.657 0.874 0.250
0.843 0.374 0.250
0.343 0.126 0.750
0.157 0.626 0.750
0.152 0.834 0.171
0.348 0.334 0.329
0.848 0.166 0.671
0.652 0.666 0.829
0.848 0.166 0.829
0.652 0.666 0.671
0.152 0.834 0.329
0.348 0.334 0.171

***

Zn3As2H16O16 | the Materials Project database | PBE | relaxed; E above lowest polymorph = 92 meV/atom; crystal system = monoclinic
1.0
-1.949 -7.244 -4.500
4.279 4.334 -6.280
4.375 -2.253 0.649
Zn As H O
3 2 16 16
direct
0.000 0.000 0.000
0.378 0.622 0.000
0.622 0.378 0.000
0.314 0.314 0.633
0.686 0.686 0.367
0.796 0.006 0.624
0.994 0.204 0.376
0.204 0.994 0.376
0.006 0.796 0.624
0.517 0.815 0.674
0.185 0.483 0.326
0.483 0.185 0.326
0.815 0.517 0.674
0.499 0.887 0.070
0.113 0.501 0.930
0.501 0.113 0.930
0.887 0.499 0.070
0.276 0.916 0.110
0.084 0.724 0.890
0.724 0.084 0.890
0.916 0.276 0.110
0.165 0.165 0.666
0.835 0.835 0.334
0.391 0.391 0.904
0.609 0.609 0.096
0.484 0.265 0.463
0.735 0.516 0.537
0.516 0.735 0.537
0.265 0.484 0.463
0.048 0.818 0.793
0.182 0.952 0.207
0.952 0.182 0.207
0.818 0.048 0.793
0.577 0.146 0.049
0.854 0.423 0.951
0.423 0.854 0.951
0.146 0.577 0.049

***

Zn3As2H16O16 | the Materials Project database | PBE | relaxed; E above lowest polymorph = 0 meV/atom; crystal system = monoclinic
1.0
0.018 0.000 -4.802
-5.036 -6.975 1.375
-5.036 6.975 1.375
Zn As H O
3 2 16 16
direct
0.000 0.000 0.000
0.000 0.612 0.388
0.000 0.388 0.612
0.377 0.313 0.313
0.623 0.687 0.687
0.366 0.963 0.803
0.366 0.803 0.963
0.634 0.037 0.197
0.634 0.197 0.037
0.057 0.938 0.691
0.057 0.691 0.938
0.943 0.062 0.309
0.943 0.309 0.062
0.486 0.814 0.434
0.486 0.434 0.814
0.514 0.186 0.566
0.514 0.566 0.186
0.289 0.815 0.267
0.289 0.267 0.815
0.711 0.185 0.733
0.711 0.733 0.185
0.384 0.147 0.147
0.616 0.853 0.853
0.732 0.406 0.406
0.268 0.594 0.594
0.213 0.233 0.444
0.213 0.444 0.233
0.787 0.767 0.556
0.787 0.556 0.767
0.803 0.983 0.209
0.803 0.209 0.983
0.197 0.017 0.791
0.197 0.791 0.017
0.712 0.184 0.620
0.712 0.620 0.184
0.288 0.816 0.380
0.288 0.380 0.816

***

Zn2AsH3O6 | the Materials Project database | PBE | relaxed; crystal system = monoclinic
1.0
8.066 0.000 0.000
0.000 10.357 0.000
0.000 3.227 12.548
Zn As H O
16 8 24 48
direct
0.552 0.110 0.404
0.052 0.390 0.596
0.448 0.890 0.596
0.948 0.610 0.404
0.833 0.038 0.252
0.333 0.462 0.748
0.167 0.962 0.748
0.667 0.538 0.252
0.305 0.374 0.359
0.805 0.126 0.641
0.695 0.626 0.641
0.195 0.874 0.359
0.741 0.060 0.010
0.241 0.440 0.990
0.259 0.940 0.990
0.759 0.560 0.010
0.554 0.279 0.149
0.054 0.221 0.851
0.446 0.721 0.851
0.946 0.779 0.149
0.922 0.285 0.385
0.422 0.215 0.615
0.078 0.715 0.615
0.578 0.785 0.385
0.241 0.544 0.469
0.741 0.956 0.531
0.759 0.456 0.531
0.259 0.044 0.469
0.114 0.114 0.289
0.614 0.386 0.711
0.886 0.886 0.711
0.386 0.614 0.289
0.046 0.336 0.156
0.546 0.164 0.844
0.954 0.664 0.844
0.454 0.836 0.156
0.982 0.288 0.053
0.482 0.212 0.947
0.018 0.712 0.947
0.518 0.788 0.053
0.293 0.152 0.073
0.793 0.348 0.927
0.707 0.848 0.927
0.207 0.652 0.073
0.167 0.051 0.154
0.667 0.449 0.846
0.833 0.949 0.846
0.333 0.551 0.154
0.451 0.237 0.269
0.951 0.263 0.731
0.549 0.763 0.731
0.049 0.737 0.269
0.659 0.427 0.139
0.159 0.073 0.861
0.341 0.573 0.861
0.841 0.927 0.139
0.691 0.156 0.133
0.191 0.344 0.867
0.309 0.844 0.867
0.809 0.656 0.133
0.410 0.293 0.047
0.910 0.207 0.953
0.590 0.707 0.953
0.090 0.793 0.047
0.453 0.261 0.477
0.953 0.239 0.523
0.547 0.739 0.523
0.047 0.761 0.477
0.840 0.444 0.355
0.340 0.056 0.645
0.160 0.556 0.645
0.660 0.944 0.355
0.791 0.178 0.345
0.291 0.322 0.655
0.209 0.822 0.655
0.709 0.678 0.345
0.106 0.281 0.317
0.606 0.219 0.683
0.894 0.719 0.683
0.394 0.781 0.317
0.029 0.363 0.078
0.529 0.137 0.922
0.971 0.637 0.922
0.471 0.863 0.078
0.162 0.486 0.444
0.662 0.014 0.556
0.838 0.514 0.556
0.338 0.986 0.444
0.080 0.033 0.268
0.580 0.467 0.732
0.920 0.967 0.732
0.420 0.533 0.268
0.227 0.068 0.083
0.727 0.432 0.917
0.773 0.932 0.917
0.273 0.568 0.083

***

ZnAs4H8O16 | the Materials Project database | PBE | relaxed; crystal system = triclinic
1.0
5.631 0.000 0.000
-0.355 7.451 0.000
-0.878 -0.958 8.074
Zn As H O
1 4 8 16
direct
0.000 0.000 0.000
0.079 0.311 0.744
0.445 0.828 0.796
0.555 0.172 0.204
0.921 0.689 0.256
0.018 0.619 0.775
0.277 0.278 0.510
0.373 0.426 0.310
0.353 0.923 0.273
0.647 0.077 0.727
0.627 0.574 0.690
0.723 0.722 0.490
0.982 0.381 0.225
0.160 0.802 0.839
0.118 0.240 0.538
0.095 0.854 0.196
0.090 0.497 0.263
0.342 0.379 0.871
0.493 0.646 0.646
0.479 0.017 0.693
0.329 0.156 0.041
0.671 0.844 0.959
0.521 0.983 0.307
0.507 0.354 0.354
0.658 0.621 0.129
0.910 0.503 0.737
0.905 0.146 0.804
0.882 0.760 0.462
0.840 0.198 0.161

***

Number 1: E_form -1.86 eV/atom, DFT total energy -0.4592 Ry per atom, size of the total moment 0.0 μB/cell. Number 2: E_form -1.44 eV/atom, DFT total energy -0.3756 Ry per atom, size of the total moment 4.0 μB/cell. Number 3: E_form -1.34 eV/atom, DFT total energy -0.3680 Ry per atom, size of the total moment 0.0 μB/cell. Number 4: E_form -1.44 eV/atom, DFT total energy -0.3748 Ry per atom, size of the total moment 0.0 μB/cell. Number 5: E_form -1.59 eV/atom, DFT total energy -0.3799 Ry per atom, size of the total moment 0.0 μB/cell. Number 6: E_form -1.35 eV/atom, DFT total energy -0.3914 Ry per atom, size of the total moment 2.0 μB/cell.